Record 1
# ErAl2Ni

ErAl2Ni after structural relaxation (PBE, Materials Project).

Cell lengths 5.421, 5.421, 6.852 Å; angles 90.00, 90.00, 136.09 degrees
Atoms (fractional coordinates):
Er 0.063 0.937 0.250
Al 0.346 0.654 0.054
Al 0.654 0.346 0.946
Ni 0.785 0.215 0.250
Er 0.937 0.063 0.750
Ni 0.215 0.785 0.750
Al 0.654 0.346 0.554
Al 0.346 0.654 0.446

Output
As for the crystal system: orthorhombic. Its energy relative to the elements is -649 meV/atom.

***

Record 2
# Er2Al5Ni5

Er2Al5Ni5 after structural relaxation (PBE, Materials Project).

Cell lengths 4.016, 8.767, 15.262 Å; angles 89.93, 90.00, 90.00 degrees
Atoms (fractional coordinates):
Al 0.500 0.009 0.501
Ni 0.500 0.774 0.588
Er 0.500 0.994 0.001
Al 0.000 0.849 0.142
Ni 0.500 0.275 0.910
Al 0.000 0.360 0.360
Er 0.500 0.498 0.497
Ni 0.500 0.727 0.907
Er 0.000 0.002 0.664
Ni 0.000 0.697 0.001
Ni 0.000 0.650 0.349
Ni 0.500 0.724 0.096
Ni 0.500 0.226 0.405
Ni 0.500 0.500 0.680
Ni 0.500 0.228 0.593
Al 0.500 0.753 0.748
Al 0.500 0.253 0.751
Al 0.500 0.748 0.255
Er 0.000 0.504 0.835
Al 0.500 0.507 0.001
Al 0.000 0.148 0.851
Er 0.000 0.000 0.336
Ni 0.500 0.496 0.316
Al 0.000 0.299 0.001
Al 0.000 0.849 0.859
Al 0.000 0.650 0.649
Ni 0.500 0.275 0.091
Ni 0.500 0.781 0.410
Al 0.000 0.148 0.149
Er 0.000 0.505 0.170
Ni 0.000 0.198 0.499
Al 0.500 0.248 0.249
Ni 0.500 0.999 0.818
Al 0.000 0.783 0.494
Ni 0.500 0.995 0.184
Al 0.000 0.350 0.640

Output
As for the crystal system: monoclinic. The magnetic moment is 0.003 Bohr magnetons per cell. Its energy relative to the elements is -633 meV/atom.

***

Record 3
# ErAlNi4

ErAlNi4 after structural relaxation (PBE, Materials Project).

Cell lengths 5.021, 5.021, 3.847 Å; angles 90.00, 90.00, 120.00 degrees
Atoms (fractional coordinates):
Ni 0.168 0.337 0.500
Al 0.000 0.000 0.000
Ni 0.333 0.667 0.000
Er 0.667 0.333 0.000
Ni 0.168 0.832 0.500
Ni 0.663 0.832 0.500

Output
As for the crystal system: hexagonal. The magnetic moment is 0.006 Bohr magnetons per cell. Its energy relative to the elements is -468 meV/atom.

***

Record 4
# ErAl4Ni

ErAl4Ni after structural relaxation (PBE, Materials Project).

Cell lengths 7.942, 7.942, 6.515 Å; angles 90.00, 90.00, 150.18 degrees
Atoms (fractional coordinates):
Al 0.925 0.075 0.750
Al 0.500 0.500 0.500
Al 0.500 0.500 0.000
Al 0.688 0.312 0.449
Ni 0.776 0.224 0.750
Er 0.118 0.882 0.750
Al 0.312 0.688 0.551
Al 0.688 0.312 0.051
Er 0.882 0.118 0.250
Al 0.075 0.925 0.250
Ni 0.224 0.776 0.250
Al 0.312 0.688 0.949

Output
As for the crystal system: orthorhombic. Its energy relative to the elements is -542 meV/atom.

***

Record 5
# ErAlNi4

ErAlNi4 after structural relaxation (PBE, Materials Project).

Cell lengths 4.896, 4.896, 4.022 Å; angles 90.00, 90.00, 118.85 degrees
Atoms (fractional coordinates):
Al 0.000 0.000 0.500
Ni 0.834 0.166 0.000
Er 0.500 0.500 0.000
Ni 0.000 0.500 0.500
Ni 0.166 0.834 0.000
Ni 0.500 0.000 0.500

Output
As for the crystal system: orthorhombic. Its energy relative to the elements is -535 meV/atom.

***

Record 6
# ErAl8Ni3

ErAl8Ni3 after structural relaxation (PBE, Materials Project).

Cell lengths 3.932, 6.649, 7.575 Å; angles 90.00, 74.96, 90.00 degrees
Atoms (fractional coordinates):
Al 0.927 0.750 0.146
Al 0.496 0.488 0.008
Al 0.689 0.443 0.621
Ni 0.769 0.750 0.462
Er 0.126 0.750 0.748
Al 0.496 0.012 0.008
Ni 0.226 0.250 0.548
Ni 0.878 0.250 0.244
Al 0.689 0.057 0.621
Al 0.319 0.959 0.361
Al 0.063 0.250 0.873
Al 0.319 0.541 0.361

Output
As for the crystal system: orthorhombic. Its energy relative to the elements is -298 meV/atom.